# 1
Density functional theory data (GGA-PBE) for a geometry-optimized SrTi2O5 structure.

Computed properties:
crystal system: orthorhombic
formation energy: -3.314 eV/atom
relative energy among the computed polymorphs: 0 meV per atom

a b c (Å): 7.8222 16.0400 12.2299
angles (deg): 90.00 90.00 90.00
Last column: nearest neighbours and their distance in Å.
Space group Cmm2 (No. 35)
One atom of each set of equivalent atoms:
Sr1 0.2422 0.1369 0.0000 [8 per cell]  4 O 2.45-2.73
Ti1 0.0000 0.0000 0.1339 [2 per cell]  6 O 1.81-2.01
Ti2 0.0000 0.1337 0.3230 [4 per cell]  3 O 1.78-1.87
Ti3 0.0000 0.2613 0.1496 [4 per cell]  5 O 1.87-2.06
Ti4 0.0000 0.5000 0.1248 [2 per cell]  5 O 1.79-1.98
Ti5 0.2370 0.5000 0.3261 [4 per cell]  4 O 1.83-2.03
O1 0.0000 0.0000 0.2969 [2 per cell]  5 Ti 1.99-2.17
O2 0.0000 0.0000 0.9860 [2 per cell]  1 Ti 1.81
O3 0.0000 0.1223 0.1595 [4 per cell]  2 Ti 1.99-2.01
O4 0.0000 0.2406 0.9832 [4 per cell]  1 Ti 2.06
O5 0.0000 0.2435 0.3037 [4 per cell]  2 Ti 1.78-1.91
O6 0.0000 0.3766 0.1280 [4 per cell]  2 Ti 1.87-1.98
O7 0.0000 0.5000 0.3104 [2 per cell]  2 Ti 1.86
O8 0.0000 0.5000 0.9788 [2 per cell]  1 Ti 1.79
O9 0.2068 0.1003 0.3868 [8 per cell]  2 Ti 1.83-1.87
O10 0.2462 0.5000 0.1599 [4 per cell]  3 Ti 1.97-2.03
O11 0.2500 0.2500 0.1351 [4 per cell]  2 Ti 1.97

# 2
Density functional theory data (GGA-PBE) for a geometry-optimized K2YCuCl6 structure.

Computed properties:
crystal system: cubic
formation energy: -2.107 eV/atom

a b c (Å): 10.3508 10.3508 10.3508
angles (deg): 90.00 90.00 90.00
Last column: nearest neighbours and their distance in Å.
Space group Fm-3m (No. 225)
One atom of each set of equivalent atoms:
K1 0.2500 0.2500 0.2500 [8 per cell]  12 Cl 3.66
Y1 0.0000 0.0000 0.0000 [4 per cell]  6 Cl 2.63
Cu1 0.0000 0.0000 0.5000 [4 per cell]  6 Cl 2.54
Cl1 0.0000 0.0000 0.2545 [24 per cell]  1 Cu 2.54, 1 Y 2.63

# 3
Density functional theory data (GGA-PBE) for a geometry-optimized ZrSn structure.

Computed properties:
crystal system: orthorhombic
formation energy: -0.288 eV/atom

a b c (Å): 5.3198 9.6016 5.4818
angles (deg): 90.00 90.00 90.00
Last column: nearest neighbours and their distance in Å.
Space group Pmc2_1 (No. 26)
One atom of each set of equivalent atoms:
Zr1 0.0000 0.0799 0.0000 [2 per cell]  5 Sn 3.01-3.35, 5 Zr 3.14-3.20
Zr2 0.0000 0.4111 0.0615 [2 per cell]  9 Sn 3.04-3.30, 3 Zr 3.20-3.23
Zr3 0.5000 0.0950 0.4267 [2 per cell]  6 Sn 2.98-3.31, 4 Zr 3.17-3.29
Sn1 0.0000 0.2477 0.5354 [2 per cell]  8 Zr 3.01-3.35, 2 Sn 3.35
Sn2 0.5000 0.2240 0.9209 [2 per cell]  7 Zr 2.98-3.30, 2 Sn 3.21-3.26
Sn3 0.5000 0.4380 0.3706 [2 per cell]  4 Sn 2.99-3.26, 5 Zr 3.16-3.31

# 4
Density functional theory data (GGA-PBE) for a geometry-optimized NbClF8 structure.

Computed properties:
crystal system: orthorhombic
formation energy: -2.398 eV/atom

a b c (Å): 10.1043 5.8794 10.6811
angles (deg): 90.00 90.00 90.00
Last column: nearest neighbours and their distance in Å.
Space group Pcca (No. 54)
One atom of each set of equivalent atoms:
Nb1 0.0000 0.1022 0.2500 [4 per cell]  6 F 1.89-2.03
Cl1 0.2500 0.5000 0.0380 [4 per cell]  2 F 1.63
F1 0.1035 0.1281 0.3998 [8 per cell]  1 Nb 1.92
F2 0.1141 0.1217 0.6821 [8 per cell]  1 Nb 1.89
F3 0.1145 0.3535 0.1771 [8 per cell]  1 Nb 2.03, 1 Cl 2.20
F4 0.1511 0.3883 0.9345 [8 per cell]  1 Cl 1.63

Result set for E_tot: -8.162; -4.126; -6.566; -4.755 eV/atom, one per record in the order listed.